Material: MgV2S4Br4N6
Method: DFT, PBE
State: relaxed

Structure (POSCAR):
```
MgV2S4Br4N6
1.0
-1.4647 -3.8187 -4.5036
2.2066 -7.2196 1.5639
-8.1563 -1.8203 2.1136
Mg V S Br N
1 2 4 4 6
Direct
0.3298 0.4921 0.4735
0.2571 0.0015 0.8825
0.7599 0.0142 0.1167
0.7658 0.2841 0.8123
0.8011 0.7683 0.4021
0.2030 0.2138 0.5825
0.2541 0.7274 0.1821
0.2863 0.6843 0.7199
0.6874 0.7848 0.9285
0.3246 0.2316 0.0723
0.7308 0.3103 0.2973
0.3405 0.0936 0.7076
0.6797 0.9105 0.2877
0.0940 0.8837 0.0910
0.9143 0.3245 0.6556
0.1001 0.6745 0.3378
0.9194 0.1342 0.9116
```

Output
Corrected total energy (MP2020 scheme) in Ha/atom: -0.215
Crystal system: triclinic
Formation enthalpy at 0 K in eV/atom: -0.381
Mass density in Mg/m³: 2.97
Spin magnetization in μB/cell: 2.01

=====

Material: MgV2S4Br4N6
Method: DFT, PBE
State: relaxed

Structure (POSCAR):
```
MgV2S4Br4N6
1.0
6.1063 -0.0080 1.1234
2.4295 7.3051 0.6164
0.0410 0.5150 8.8317
Mg V S Br N
1 2 4 4 6
Direct
0.5000 0.5000 0.0000
0.2272 0.9944 0.8858
0.7728 0.0056 0.1142
0.7853 0.2712 0.7693
0.7737 0.7355 0.4097
0.2263 0.2645 0.5903
0.2147 0.7288 0.2307
0.2640 0.6879 0.7842
0.6682 0.7817 0.9509
0.3318 0.2183 0.0491
0.7360 0.3121 0.2158
0.3284 0.1032 0.7104
0.6716 0.8968 0.2896
0.0786 0.8880 0.1139
0.9497 0.3467 0.6323
0.0503 0.6533 0.3677
0.9214 0.1120 0.8861
```

Output
Corrected total energy (MP2020 scheme) in Ha/atom: -0.215
Crystal system: triclinic
Formation enthalpy at 0 K in eV/atom: -0.384
Mass density in Mg/m³: 2.78
Spin magnetization in μB/cell: 1.98

=====

Material: MgV2S4Br4N6
Method: DFT, PBE
State: relaxed

Structure (POSCAR):
```
MgV2S4Br4N6
1.0
6.0945 -0.3646 0.8939
1.9468 7.0806 0.6437
-0.4150 0.6212 9.4799
Mg V S Br N
1 2 4 4 6
Direct
0.0000 0.5000 0.0000
0.2107 0.9864 0.8955
0.7893 0.0136 0.1045
0.8149 0.2948 0.7768
0.7760 0.7794 0.4021
0.2240 0.2206 0.5979
0.1851 0.7052 0.2232
0.1760 0.6859 0.7923
0.6332 0.7729 0.9830
0.3668 0.2271 0.0170
0.8240 0.3141 0.2077
0.3142 0.0732 0.7252
0.6858 0.9268 0.2748
0.0692 0.8708 0.1066
0.9707 0.3266 0.6344
0.0293 0.6734 0.3656
0.9308 0.1292 0.8934
```

Output
Corrected total energy (MP2020 scheme) in Ha/atom: -0.215
Crystal system: triclinic
Formation enthalpy at 0 K in eV/atom: -0.382
Mass density in Mg/m³: 2.62
Spin magnetization in μB/cell: 2.00

=====

Material: MgNbTlBr4O
Method: DFT, PBE
State: relaxed

Structure (POSCAR):
```
MgNbTlBr4O
1.0
-2.7699 1.8814 2.0764
-2.1541 0.2375 -6.8187
-3.3223 -7.8197 2.6266
Mg Nb Tl Br O
1 1 1 4 1
Direct
0.2693 0.5458 0.4052
0.4935 0.9850 0.5090
0.9947 0.9862 0.9586
0.6145 0.2320 0.7777
0.3539 0.7093 0.6901
0.3739 0.7519 0.2013
0.6451 0.2967 0.3371
0.9877 0.9765 0.4876
```

Output
Corrected total energy (MP2020 scheme) in Ha/atom: -0.163
Crystal system: triclinic
Formation enthalpy at 0 K in eV/atom: -1.246
Mass density in Mg/m³: 4.63
Spin magnetization in μB/cell: 0.00

=====

Material: MgNbTlBr4O
Method: DFT, PBE
State: relaxed

Structure (POSCAR):
```
MgNbTlBr4O
1.0
3.9410 -0.0012 -0.0014
-1.9692 6.9397 -1.9429
0.0016 0.2447 8.1789
Mg Nb Tl Br O
1 1 1 4 1
Direct
0.1683 0.3352 0.5798
0.4850 0.9690 0.4859
0.9846 0.9741 0.0049
0.6472 0.2940 0.7964
0.3563 0.7148 0.6769
0.3670 0.7334 0.1896
0.6485 0.2954 0.3420
0.0258 0.0507 0.5163
```

Output
Corrected total energy (MP2020 scheme) in Ha/atom: -0.166
Crystal system: triclinic
Formation enthalpy at 0 K in eV/atom: -1.323
Mass density in Mg/m³: 4.84
Spin magnetization in μB/cell: 2.00

=====

Material: MgNbTlBr4O
Method: DFT, PBE
State: relaxed

Structure (POSCAR):
```
MgNbTlBr4O
1.0
-1.6681 -3.5939 0.5082
-0.4107 1.2568 -7.7389
7.3124 -3.1508 1.5893
Mg Nb Tl Br O
1 1 1 4 1
Direct
0.2611 0.5230 0.8491
0.4992 0.9942 0.4825
0.0057 0.0113 0.0651
0.6482 0.2923 0.8042
0.3697 0.7503 0.6882
0.3424 0.6924 0.1740
0.6247 0.2601 0.3321
0.9983 0.9930 0.4881
```

Output
Corrected total energy (MP2020 scheme) in Ha/atom: -0.161
Crystal system: triclinic
Formation enthalpy at 0 K in eV/atom: -1.196
Mass density in Mg/m³: 4.66
Spin magnetization in μB/cell: 1.99

=====

Material: MgNbTlBr4O
Method: DFT, PBE
State: relaxed

Structure (POSCAR):
```
MgNbTlBr4O
1.0
-0.2760 -0.6513 -3.9047
4.2245 -5.9326 2.6862
-7.4637 -1.9269 0.8522
Mg Nb Tl Br O
1 1 1 4 1
Direct
0.8136 0.6334 0.8880
0.4911 0.9874 0.4910
0.0449 0.0863 0.0525
0.6350 0.2713 0.8156
0.3529 0.7065 0.6822
0.3431 0.6951 0.1480
0.6345 0.2712 0.3502
0.9843 0.9737 0.4891
```

Output
Corrected total energy (MP2020 scheme) in Ha/atom: -0.162
Crystal system: triclinic
Formation enthalpy at 0 K in eV/atom: -1.213
Mass density in Mg/m³: 4.96
Spin magnetization in μB/cell: 1.85

=====

Material: MgNb2S4Br4
Method: DFT, PBE
State: relaxed

Structure (POSCAR):
```
MgNb2S4Br4
1.0
6.2568 0.5130 2.4288
3.9132 7.4133 0.2892
-0.1488 0.5205 7.3575
Mg Nb S Br
1 2 4 4
Direct
0.5000 0.0000 0.5000
0.8436 0.9327 0.0183
0.1564 0.0673 0.9817
0.8016 0.2334 0.8918
0.1984 0.7666 0.1082
0.1267 0.9241 0.7109
0.8733 0.0759 0.2891
0.7171 0.7056 0.2687
0.2829 0.2944 0.7313
0.6675 0.8199 0.7926
0.3325 0.1801 0.2074
```

Output
Corrected total energy (MP2020 scheme) in Ha/atom: -0.193
Crystal system: triclinic
Formation enthalpy at 0 K in eV/atom: -1.167
Mass density in Mg/m³: 3.28
Spin magnetization in μB/cell: 0.01

=====

Values for E, eV/atom, ordered as above
-5.717, -5.720, -5.718, -4.355, -4.432, -4.305, -4.322, -4.871